[1]
KCr2S4, relaxed, DFT GGA-PBE; SG = P2/m; offset from the most stable computed form = 22 meV/atom; formation energy = -1.1046 eV/atom
1.0
5.916 0.000 0.000
0.000 3.511 0.000
-0.043 0.000 7.637
K Cr S
1 2 4
Direct
0.000 0.000 0.000
0.000 0.000 0.500
0.500 0.500 0.500
0.164 0.500 0.326
0.337 0.000 0.673
0.663 0.000 0.327
0.836 0.500 0.674



[2]
KCr2S4, relaxed, DFT GGA-PBE; SG = Fd-3m; offset from the most stable computed form = 244 meV/atom; formation energy = -0.8822 eV/atom; size of the total moment = 10.0 μB per cell
1.0
0.000 5.398 5.398
5.398 0.000 5.398
5.398 5.398 0.000
K Cr S
2 4 8
Direct
0.125 0.125 0.125
0.875 0.875 0.875
0.000 0.500 0.500
0.500 0.000 0.500
0.500 0.500 0.000
0.500 0.500 0.500
0.276 0.276 0.276
0.276 0.276 0.672
0.276 0.672 0.276
0.328 0.724 0.724
0.672 0.276 0.276
0.724 0.328 0.724
0.724 0.724 0.328
0.724 0.724 0.724



[3]
KCrSnS4, relaxed, DFT GGA-PBE; SG = Pm; formation energy = -1.0558 eV/atom
1.0
6.279 0.000 0.000
0.000 3.684 0.000
-2.113 0.000 7.611
K Cr Sn S
1 1 1 4
Direct
0.000 0.000 0.000
0.842 0.000 0.491
0.343 0.500 0.499
0.218 0.000 0.681
0.462 0.000 0.312
0.754 0.500 0.669
0.935 0.500 0.318



[4]
LaMg14Cr, relaxed, DFT GGA-PBE; SG = Amm2; offset from the most stable computed form = 0 meV/atom; formation energy = 0.0849 eV/atom; size of the total moment = 3.9 μB per cell
1.0
10.382 0.000 0.000
0.000 3.189 5.733
0.000 -3.189 5.733
La Mg Cr
1 14 1
Direct
0.000 0.000 0.000
0.000 0.012 0.492
0.000 0.492 0.012
0.236 0.654 0.654
0.256 0.164 0.651
0.256 0.651 0.164
0.262 0.162 0.162
0.500 0.495 0.495
0.500 0.497 0.991
0.500 0.991 0.497
0.500 0.993 0.993
0.738 0.162 0.162
0.744 0.164 0.651
0.744 0.651 0.164
0.764 0.654 0.654
0.000 0.489 0.489



[5]
LaMg14Cr, relaxed, DFT GGA-PBE; SG = P-6m2; offset from the most stable computed form = 16 meV/atom; formation energy = 0.1012 eV/atom; size of the total moment = 4.5 μB per cell
1.0
6.556 0.000 0.000
-3.278 5.677 0.000
0.000 0.000 10.317
La Mg Cr
1 14 1
Direct
0.000 0.000 0.000
0.011 0.506 0.000
0.167 0.334 0.260
0.167 0.334 0.740
0.167 0.833 0.260
0.167 0.833 0.740
0.494 0.506 0.000
0.494 0.989 0.000
0.500 0.001 0.500
0.500 0.500 0.500
0.666 0.833 0.260
0.666 0.833 0.740
0.667 0.333 0.244
0.667 0.333 0.756
0.999 0.500 0.500
0.000 0.000 0.500



[6]
LaCrS3, relaxed, DFT GGA-PBE; SG = Pnma; formation energy = -1.7611 eV/atom
1.0
7.884 0.000 0.000
0.000 3.829 0.000
0.000 0.000 13.141
La Cr S
4 4 12
Direct
0.087 0.250 0.172
0.413 0.750 0.672
0.587 0.250 0.328
0.913 0.750 0.828
0.162 0.750 0.448
0.338 0.250 0.948
0.662 0.750 0.052
0.838 0.250 0.552
0.011 0.750 0.604
0.163 0.750 0.005
0.196 0.250 0.787
0.304 0.750 0.287
0.337 0.250 0.505
0.489 0.250 0.104
0.511 0.750 0.896
0.663 0.750 0.495
0.696 0.250 0.713
0.804 0.750 0.213
0.837 0.250 0.995
0.989 0.250 0.396



[7]
La4CrS7, relaxed, DFT GGA-PBE; SG = P2_1; formation energy = -1.9879 eV/atom; size of the total moment = 8.0 μB per cell
1.0
10.421 0.000 0.000
0.000 6.471 0.000
-5.173 0.000 9.064
La Cr S
8 2 14
Direct
0.002 0.000 0.499
0.137 0.780 0.898
0.261 0.769 0.364
0.397 0.278 0.759
0.603 0.778 0.241
0.739 0.269 0.636
0.863 0.280 0.102
0.998 0.500 0.501
0.334 0.357 0.167
0.666 0.857 0.833
0.090 0.246 0.754
0.105 0.516 0.091
0.165 0.253 0.410
0.253 0.746 0.665
0.334 0.989 0.170
0.406 0.520 0.014
0.490 0.515 0.394
0.510 0.015 0.606
0.594 0.020 0.986
0.666 0.489 0.830
0.747 0.246 0.335
0.835 0.753 0.590
0.895 0.016 0.909
0.910 0.746 0.246



[8]
LaCrSb3, relaxed, DFT GGA-PBE; SG = Pbcm; formation energy = -0.6164 eV/atom
1.0
13.425 0.000 0.000
0.000 6.272 0.000
0.000 0.000 6.164
La Cr Sb
4 4 12
Direct
0.193 0.006 0.250
0.193 0.494 0.750
0.807 0.506 0.250
0.807 0.994 0.750
0.411 0.750 0.000
0.411 0.750 0.500
0.589 0.250 0.000
0.589 0.250 0.500
0.001 0.750 0.000
0.001 0.750 0.500
0.285 0.505 0.250
0.285 0.995 0.750
0.438 0.100 0.250
0.438 0.400 0.750
0.562 0.600 0.250
0.562 0.900 0.750
0.715 0.005 0.250
0.715 0.495 0.750
0.999 0.250 0.000
0.999 0.250 0.500